[1]
A relaxed structure of Na3YNbSi2PO12, computed with PBE-GGA.

abc: 16.1173 27.8103 9.1859
angles: 90.00 125.12 90.00
With the nearest neighbours (Å) after each atom.
Fractional coordinates of all 240 atoms:
Na  0.2492  0.2563  0.0002  5 O 2.43-2.61
Na  0.2425  0.5879  0.0090  5 O 2.40-2.55
Na  0.2442  0.9196  0.0101  5 O 2.45-2.56
Na  0.7492  0.2437  0.5002  5 O 2.43-2.61
Na  0.7442  0.5804  0.5101  5 O 2.45-2.56
Na  0.7425  0.9121  0.5090  5 O 2.40-2.55
Na  0.7425  0.0879  0.0090  5 O 2.40-2.55
Na  0.7442  0.4196  0.0101  5 O 2.45-2.56
Na  0.7492  0.7563  0.0002  5 O 2.43-2.61
Na  0.2442  0.0804  0.5101  5 O 2.45-2.56
Na  0.2425  0.4121  0.5090  5 O 2.40-2.55
Na  0.2492  0.7437  0.5002  5 O 2.43-2.61
Na  0.4932  0.0298  0.7510  4 O 2.39-2.55
Na  0.4951  0.3635  0.7574  4 O 2.43-2.67
Na  0.4926  0.6962  0.7474  4 O 2.43-2.68
Na  0.4926  0.3038  0.2474  4 O 2.43-2.68
Na  0.4951  0.6365  0.2574  4 O 2.43-2.67
Na  0.4932  0.9702  0.2510  4 O 2.39-2.55
Na  0.9926  0.1962  0.7474  4 O 2.43-2.68
Na  0.9932  0.5298  0.7510  4 O 2.39-2.55
Na  0.9951  0.8635  0.7574  4 O 2.43-2.67
Na  0.9951  0.1365  0.2574  4 O 2.43-2.67
Na  0.9932  0.4702  0.2510  4 O 2.39-2.55
Na  0.9926  0.8038  0.2474  4 O 2.43-2.68
Na  0.8210  0.6425  0.1995  6 O 2.56-2.73
Na  0.8196  0.9761  0.2036  4 O 2.41-2.61
Na  0.1902  0.3055  0.2947  2 O 2.30-2.40
Na  0.1902  0.6945  0.7947  2 O 2.30-2.40
Na  0.8196  0.0239  0.7036  4 O 2.41-2.61
Na  0.8210  0.3575  0.6995  6 O 2.56-2.73
Na  0.3210  0.1425  0.1995  6 O 2.56-2.73
Na  0.3196  0.4761  0.2036  4 O 2.41-2.61
Na  0.6902  0.8055  0.2947  2 O 2.30-2.40
Na  0.6902  0.1945  0.7947  2 O 2.30-2.40
Na  0.3196  0.5239  0.7036  4 O 2.41-2.61
Na  0.3210  0.8575  0.6995  6 O 2.56-2.73
Y  0.8991  0.2515  0.9446  6 O 2.12-2.29
Y  0.8932  0.5841  0.9307  6 O 2.11-2.27
Y  0.8925  0.9153  0.9337  6 O 2.10-2.30
Y  0.8925  0.0847  0.4337  6 O 2.10-2.30
Y  0.8932  0.4159  0.4307  6 O 2.11-2.27
Y  0.8991  0.7485  0.4446  6 O 2.12-2.29
Y  0.3932  0.0841  0.9307  6 O 2.11-2.27
Y  0.3925  0.4153  0.9337  6 O 2.10-2.30
Y  0.3991  0.7515  0.9446  6 O 2.12-2.29
Y  0.3991  0.2485  0.4446  6 O 2.12-2.29
Y  0.3925  0.5847  0.4337  6 O 2.10-2.30
Y  0.3932  0.9159  0.4307  6 O 2.11-2.27
Nb  0.1060  0.2476  0.5640  6 O 1.95-2.18
Nb  0.1043  0.5821  0.5629  6 O 1.97-2.16
Nb  0.1052  0.9166  0.5632  6 O 1.97-2.15
Nb  0.1052  0.0834  0.0632  6 O 1.97-2.15
Nb  0.1043  0.4179  0.0629  6 O 1.97-2.16
Nb  0.1060  0.7524  0.0640  6 O 1.95-2.18
Nb  0.6043  0.0821  0.5629  6 O 1.97-2.16
Nb  0.6052  0.4166  0.5632  6 O 1.97-2.15
Nb  0.6060  0.7476  0.5640  6 O 1.95-2.18
Nb  0.6060  0.2524  0.0640  6 O 1.95-2.18
Nb  0.6052  0.5834  0.0632  6 O 1.97-2.15
Nb  0.6043  0.9179  0.0629  6 O 1.97-2.16
Si  0.3461  0.2953  0.7456  4 O 1.61-1.71
Si  0.3495  0.6296  0.7586  4 O 1.59-1.72
Si  0.3484  0.9626  0.7527  4 O 1.59-1.75
Si  0.6460  0.3036  0.7432  4 O 1.60-1.72
Si  0.6442  0.6349  0.7403  4 O 1.59-1.75
Si  0.6450  0.9695  0.7407  4 O 1.59-1.75
Si  0.6450  0.0305  0.2407  4 O 1.59-1.75
Si  0.6442  0.3651  0.2403  4 O 1.59-1.75
Si  0.6460  0.6964  0.2432  4 O 1.60-1.72
Si  0.3484  0.0374  0.2527  4 O 1.59-1.75
Si  0.3495  0.3704  0.2586  4 O 1.59-1.72
Si  0.3461  0.7047  0.2456  4 O 1.61-1.71
Si  0.8495  0.1296  0.7586  4 O 1.59-1.72
Si  0.8484  0.4626  0.7527  4 O 1.59-1.75
Si  0.8461  0.7953  0.7456  4 O 1.61-1.71
Si  0.1442  0.1349  0.7403  4 O 1.59-1.75
Si  0.1450  0.4695  0.7407  4 O 1.59-1.75
Si  0.1460  0.8036  0.7432  4 O 1.60-1.72
Si  0.1460  0.1964  0.2432  4 O 1.60-1.72
Si  0.1450  0.5305  0.2407  4 O 1.59-1.75
Si  0.1442  0.8651  0.2403  4 O 1.59-1.75
Si  0.8461  0.2047  0.2456  4 O 1.61-1.71
Si  0.8484  0.5374  0.2527  4 O 1.59-1.75
Si  0.8495  0.8704  0.2586  4 O 1.59-1.72
P  0.0110  0.3190  0.7555  4 O 1.51-1.60
P  0.0078  0.6515  0.7497  4 O 1.52-1.59
P  0.0085  0.9863  0.7495  4 O 1.52-1.60
P  0.0085  0.0137  0.2495  4 O 1.52-1.60
P  0.0078  0.3485  0.2497  4 O 1.52-1.59
P  0.0110  0.6810  0.2555  4 O 1.51-1.60
P  0.5078  0.1515  0.7497  4 O 1.52-1.59
P  0.5085  0.4863  0.7495  4 O 1.52-1.60
P  0.5110  0.8190  0.7555  4 O 1.51-1.60
P  0.5110  0.1810  0.2555  4 O 1.51-1.60
P  0.5085  0.5137  0.2495  4 O 1.52-1.60
P  0.5078  0.8485  0.2497  4 O 1.52-1.59
O  0.1421  0.1960  0.7432  1 Si 1.70
O  0.1436  0.5304  0.7467  1 Si 1.70
O  0.1447  0.8635  0.7462  1 Si 1.66
O  0.8402  0.1878  0.7523  1 Si 1.62
O  0.8448  0.5202  0.7483  1 Si 1.61
O  0.8424  0.8536  0.7489  1 Si 1.62
O  0.8424  0.1464  0.2489  1 Si 1.62
O  0.8448  0.4798  0.2483  1 Si 1.61
O  0.8402  0.8122  0.2523  1 Si 1.62
O  0.1447  0.1365  0.2462  1 Si 1.66
O  0.1436  0.4696  0.2467  1 Si 1.70
O  0.1421  0.8040  0.2432  1 Si 1.70
O  0.6436  0.0304  0.7467  1 Si 1.70
O  0.6447  0.3635  0.7462  1 Si 1.66
O  0.6421  0.6960  0.7432  1 Si 1.70
O  0.3448  0.0202  0.7483  1 Si 1.61
O  0.3424  0.3536  0.7489  1 Si 1.62
O  0.3402  0.6878  0.7523  1 Si 1.62
O  0.3402  0.3122  0.2523  1 Si 1.62
O  0.3424  0.6464  0.2489  1 Si 1.62
O  0.3448  0.9798  0.2483  1 Si 1.61
O  0.6421  0.3040  0.2432  1 Si 1.70
O  0.6447  0.6365  0.2462  1 Si 1.66
O  0.6436  0.9696  0.2467  1 Si 1.70
O  0.4450  0.1782  0.5734  1 P 1.52
O  0.4422  0.5149  0.5788  1 P 1.52
O  0.4475  0.8501  0.5924  1 P 1.51
O  0.5671  0.1884  0.9092  1 P 1.58
O  0.5668  0.5229  0.9133  1 P 1.60
O  0.5725  0.8531  0.9274  1 P 1.60
O  0.5725  0.1469  0.4274  1 P 1.60
O  0.5668  0.4771  0.4133  1 P 1.60
O  0.5671  0.8116  0.4092  1 P 1.58
O  0.4475  0.1499  0.0924  1 P 1.51
O  0.4422  0.4851  0.0788  1 P 1.52
O  0.4450  0.8218  0.0734  1 P 1.52
O  0.9422  0.0149  0.5788  1 P 1.52
O  0.9475  0.3501  0.5924  1 P 1.51
O  0.9450  0.6782  0.5734  1 P 1.52
O  0.0668  0.0229  0.9133  1 P 1.60
O  0.0725  0.3531  0.9274  1 P 1.60
O  0.0671  0.6884  0.9092  1 P 1.58
O  0.0671  0.3116  0.4092  1 P 1.58
O  0.0725  0.6469  0.4274  1 P 1.60
O  0.0668  0.9771  0.4133  1 P 1.60
O  0.9450  0.3218  0.0734  1 P 1.52
O  0.9475  0.6499  0.0924  1 P 1.51
O  0.9422  0.9851  0.0788  1 P 1.52
O  0.2491  0.2705  0.7365  1 Si 1.67
O  0.2538  0.6036  0.7514  1 Si 1.67
O  0.2528  0.9359  0.7443  1 Si 1.67
O  0.7433  0.2843  0.7510  1 Si 1.62
O  0.7407  0.6164  0.7495  1 Si 1.59
O  0.7447  0.9553  0.7483  1 Si 1.62
O  0.7447  0.0447  0.2483  1 Si 1.62
O  0.7407  0.3836  0.2495  1 Si 1.59
O  0.7433  0.7157  0.2510  1 Si 1.62
O  0.2528  0.0641  0.2443  1 Si 1.67
O  0.2538  0.3964  0.2514  1 Si 1.67
O  0.2491  0.7295  0.2365  1 Si 1.67
O  0.7538  0.1036  0.7514  1 Si 1.67
O  0.7528  0.4359  0.7443  1 Si 1.67
O  0.7491  0.7705  0.7365  1 Si 1.67
O  0.2407  0.1164  0.7495  1 Si 1.59
O  0.2447  0.4553  0.7483  1 Si 1.62
O  0.2433  0.7843  0.7510  1 Si 1.62
O  0.2433  0.2157  0.2510  1 Si 1.62
O  0.2447  0.5447  0.2483  1 Si 1.62
O  0.2407  0.8836  0.2495  1 Si 1.59
O  0.7491  0.2295  0.2365  1 Si 1.67
O  0.7528  0.5641  0.2443  1 Si 1.67
O  0.7538  0.8964  0.2514  1 Si 1.67
O  0.3340  0.2826  0.5636  1 Si 1.61
O  0.3463  0.6099  0.5926  1 Si 1.59
O  0.3486  0.9411  0.5930  1 Si 1.59
O  0.6370  0.2858  0.9134  1 Si 1.72
O  0.6393  0.6198  0.9197  1 Si 1.75
O  0.6419  0.9527  0.9211  1 Si 1.75
O  0.6419  0.0473  0.4211  1 Si 1.75
O  0.6393  0.3802  0.4197  1 Si 1.75
O  0.6370  0.7142  0.4134  1 Si 1.72
O  0.3486  0.0589  0.0930  1 Si 1.59
O  0.3463  0.3901  0.0926  1 Si 1.59
O  0.3340  0.7174  0.0636  1 Si 1.61
O  0.8463  0.1099  0.5926  1 Si 1.59
O  0.8486  0.4411  0.5930  1 Si 1.59
O  0.8340  0.7826  0.5636  1 Si 1.61
O  0.1393  0.1198  0.9197  1 Si 1.75
O  0.1419  0.4527  0.9211  1 Si 1.75
O  0.1370  0.7858  0.9134  1 Si 1.72
O  0.1370  0.2142  0.4134  1 Si 1.72
O  0.1419  0.5473  0.4211  1 Si 1.75
O  0.1393  0.8802  0.4197  1 Si 1.75
O  0.8340  0.2174  0.0636  1 Si 1.61
O  0.8486  0.5589  0.0930  1 Si 1.59
O  0.8463  0.8901  0.0926  1 Si 1.59
O  0.4590  0.2734  0.9214  1 Si 1.71
O  0.4617  0.6076  0.9390  1 Si 1.72
O  0.4623  0.9397  0.9369  1 Si 1.75
O  0.5439  0.2845  0.5648  1 Si 1.60
O  0.5383  0.6201  0.5617  1 Si 1.60
O  0.5411  0.9530  0.5635  1 Si 1.59
O  0.5411  0.0470  0.0635  1 Si 1.59
O  0.5383  0.3799  0.0617  1 Si 1.60
O  0.5439  0.7155  0.0648  1 Si 1.60
O  0.4623  0.0603  0.4369  1 Si 1.75
O  0.4617  0.3924  0.4390  1 Si 1.72
O  0.4590  0.7266  0.4214  1 Si 1.71
O  0.9617  0.1076  0.9390  1 Si 1.72
O  0.9623  0.4397  0.9369  1 Si 1.75
O  0.9590  0.7734  0.9214  1 Si 1.71
O  0.0383  0.1201  0.5617  1 Si 1.60
O  0.0411  0.4530  0.5635  1 Si 1.59
O  0.0439  0.7845  0.5648  1 Si 1.60
O  0.0439  0.2155  0.0648  1 Si 1.60
O  0.0411  0.5470  0.0635  1 Si 1.59
O  0.0383  0.8799  0.0617  1 Si 1.60
O  0.9590  0.2266  0.4214  1 Si 1.71
O  0.9623  0.5603  0.4369  1 Si 1.75
O  0.9617  0.8924  0.4390  1 Si 1.72
O  0.0885  0.2871  0.7492  1 P 1.56
O  0.0947  0.6234  0.7522  1 P 1.59
O  0.0887  0.9553  0.7477  1 P 1.56
O  0.9370  0.2857  0.7642  1 P 1.55
O  0.9422  0.6145  0.7613  1 P 1.52
O  0.9377  0.9531  0.7657  1 P 1.54
O  0.9377  0.0469  0.2657  1 P 1.54
O  0.9422  0.3855  0.2613  1 P 1.52
O  0.9370  0.7143  0.2642  1 P 1.55
O  0.0887  0.0447  0.2477  1 P 1.56
O  0.0947  0.3766  0.2522  1 P 1.59
O  0.0885  0.7129  0.2492  1 P 1.56
O  0.5947  0.1234  0.7522  1 P 1.59
O  0.5887  0.4553  0.7477  1 P 1.56
O  0.5885  0.7871  0.7492  1 P 1.56
O  0.4422  0.1145  0.7613  1 P 1.52
O  0.4377  0.4531  0.7657  1 P 1.54
O  0.4370  0.7857  0.7642  1 P 1.55
O  0.4370  0.2143  0.2642  1 P 1.55
O  0.4377  0.5469  0.2657  1 P 1.54
O  0.4422  0.8855  0.2613  1 P 1.52
O  0.5885  0.2129  0.2492  1 P 1.56
O  0.5887  0.5447  0.2477  1 P 1.56
O  0.5947  0.8766  0.2522  1 P 1.59

- total magnetic moment (μB per formula unit) = 0.000
- formation energy from the elements (eV per atom) = -2.9806
- VASP energy (eV/atom) = -7.377
- offset from the most stable computed form (meV per atom) = 0

---

[2]
A relaxed structure of K2OsNCl5, computed with PBE-GGA.

abc: 10.2407 8.3321 8.3321
angles: 122.31 90.00 90.00
With the nearest neighbours (Å) after each atom.
Fractional coordinates of all 18 atoms:
K  0.3855  0.7171  0.2829  4 Cl 3.13-3.39, 1 N 3.20
K  0.8855  0.2829  0.7171  4 Cl 3.13-3.39, 1 N 3.20
K  0.8887  0.5911  0.4089  5 Cl 2.99-3.18
K  0.3887  0.4089  0.5911  5 Cl 2.99-3.18
Os  0.5286  0.1523  0.8477  1 N 1.66
Os  0.0286  0.8477  0.1523  1 N 1.66
N  0.1827  0.8838  0.1162  1 Os 1.66
N  0.6827  0.1162  0.8838  1 Os 1.66
Cl  0.4486  0.8388  0.7341  1 Os 2.40
Cl  0.4486  0.2659  0.1612  1 Os 2.40
Cl  0.9486  0.1612  0.2659  1 Os 2.40
Cl  0.9486  0.7341  0.8388  1 Os 2.40
Cl  0.0674  0.9318  0.4705  1 Os 2.39
Cl  0.0674  0.5295  0.0682  1 Os 2.39
Cl  0.5674  0.0682  0.5295  1 Os 2.39
Cl  0.5674  0.4705  0.9318  1 Os 2.39
Cl  0.2964  0.2148  0.7852  1 Os 2.55
Cl  0.7964  0.7852  0.2148  1 Os 2.55

- total magnetic moment (μB per formula unit) = 0.000
- formation energy from the elements (eV per atom) = -1.2399
- VASP energy (eV/atom) = -4.346
- offset from the most stable computed form (meV per atom) = 95

---

[3]
A relaxed structure of RbMg14Ti, computed with PBE-GGA.

abc: 6.5754 6.5754 10.4651
angles: 90.00 90.00 120.00
With the nearest neighbours (Å) after each atom.
Fractional coordinates of all 16 atoms:
Rb  0.1667  0.3333  0.6250  12 Mg 3.29-3.41
Mg  0.1627  0.8313  0.1250  10 Mg 3.07-3.33, 2 Ti 3.29
Mg  0.1776  0.8388  0.6250  10 Mg 3.18-3.40, 2 Rb 3.29
Mg  0.6687  0.3373  0.1250  10 Mg 3.07-3.33, 2 Ti 3.29
Mg  0.6612  0.3224  0.6250  10 Mg 3.18-3.40, 2 Rb 3.29
Mg  0.6687  0.8313  0.1250  10 Mg 3.07-3.33, 2 Ti 3.29
Mg  0.6612  0.8388  0.6250  10 Mg 3.18-3.40, 2 Rb 3.29
Mg  0.3354  0.1646  0.3561  10 Mg 3.07-3.37, 1 Ti 3.09, 1 Rb 3.41
Mg  0.3354  0.1646  0.8939  10 Mg 3.07-3.37, 1 Ti 3.09, 1 Rb 3.41
Mg  0.3354  0.6707  0.3561  10 Mg 3.07-3.37, 1 Ti 3.09, 1 Rb 3.41
Mg  0.3354  0.6707  0.8939  10 Mg 3.07-3.37, 1 Ti 3.09, 1 Rb 3.41
Mg  0.8293  0.1646  0.3561  10 Mg 3.07-3.37, 1 Ti 3.09, 1 Rb 3.41
Mg  0.8293  0.1646  0.8939  10 Mg 3.07-3.37, 1 Ti 3.09, 1 Rb 3.41
Mg  0.8333  0.6667  0.3797  12 Mg 3.23-3.30
Mg  0.8333  0.6667  0.8703  12 Mg 3.23-3.30
Ti  0.1667  0.3333  0.1250  12 Mg 3.09-3.29

- total magnetic moment (μB per formula unit) = 1.168
- formation energy from the elements (eV per atom) = 0.1885
- VASP energy (eV/atom) = -1.767
- offset from the most stable computed form (meV per atom) = 0

---

[4]
A relaxed structure of Cs2NaTiF6, computed with PBE-GGA.

abc: 6.4184 6.4184 15.2503
angles: 90.00 90.00 120.00
With the nearest neighbours (Å) after each atom.
Fractional coordinates of all 30 atoms:
Cs  0.3333  0.6667  0.0884  12 F 3.12-3.21
Cs  0.0000  0.0000  0.7515  12 F 3.16-3.22
Cs  0.3333  0.6667  0.3945  12 F 3.17-3.39
Cs  0.0000  0.0000  0.2485  12 F 3.16-3.22
Cs  0.6667  0.3333  0.9116  12 F 3.12-3.21
Cs  0.6667  0.3333  0.6055  12 F 3.17-3.39
Na  0.6667  0.3333  0.3572  6 F 2.30-2.41
Na  0.3333  0.6667  0.6428  6 F 2.30-2.41
Na  0.0000  0.0000  0.0000  6 F 2.43
Ti  0.3333  0.6667  0.8399  6 F 2.00-2.01
Ti  0.0000  0.0000  0.5000  6 F 2.01
Ti  0.6667  0.3333  0.1601  6 F 2.00-2.01
F  0.1816  0.8184  0.9109  1 Ti 2.00
F  0.3632  0.1816  0.0891  1 Ti 2.00
F  0.4774  0.9547  0.7606  1 Ti 2.01
F  0.1508  0.3016  0.5724  1 Ti 2.01
F  0.6984  0.8492  0.5724  1 Ti 2.01
F  0.1816  0.3632  0.9109  1 Ti 2.00
F  0.1508  0.8492  0.5724  1 Ti 2.01
F  0.8184  0.6368  0.0891  1 Ti 2.00
F  0.5226  0.0453  0.2394  1 Ti 2.01
F  0.3016  0.1508  0.4276  1 Ti 2.01
F  0.8492  0.1508  0.4276  1 Ti 2.01
F  0.9547  0.4774  0.2394  1 Ti 2.01
F  0.6368  0.8184  0.9109  1 Ti 2.00
F  0.5226  0.4774  0.2394  1 Ti 2.01
F  0.8492  0.6984  0.4276  1 Ti 2.01
F  0.8184  0.1816  0.0891  1 Ti 2.00
F  0.4774  0.5226  0.7606  1 Ti 2.01
F  0.0453  0.5226  0.7606  1 Ti 2.01

- total magnetic moment (μB per formula unit) = 1.012
- formation energy from the elements (eV per atom) = -3.2978
- VASP energy (eV/atom) = -5.270

---

[5]
A relaxed structure of LuPd2Pb, computed with PBE-GGA.

abc: 4.8263 4.8263 4.8263
angles: 60.00 60.00 60.00
With the nearest neighbours (Å) after each atom.
Fractional coordinates of all 4 atoms:
Lu  0.5000  0.5000  0.5000  8 Pd 2.96
Pd  0.2500  0.2500  0.2500  4 Lu 2.96, 4 Pb 2.96
Pd  0.7500  0.7500  0.7500  4 Pb 2.96, 4 Lu 2.96
Pb  0.0000  0.0000  0.0000  8 Pd 2.96

- total magnetic moment (μB per formula unit) = 0.003
- formation energy from the elements (eV per atom) = -0.7109
- VASP energy (eV/atom) = -5.359